Entry 1:
LaFe2Ge2 after structural relaxation, computed with PBE.

Computed properties:
E_form, kJ/mol of atoms: -41.3
Symmetry: I4/mmm, No. 139

Lattice parameters (Å, degrees): 6.151 6.151 6.151 141.18 141.18 56.07
Fractional coordinates of all 5 atoms:
1 La 0.000 0.000 0.000
2 Fe 0.750 0.250 0.500
3 Fe 0.250 0.750 0.500
4 Ge 0.626 0.626 0.000
5 Ge 0.374 0.374 0.000

=====

Entry 2:
LaFeGe3 after structural relaxation, computed with PBE.

Computed properties:
E_form, kJ/mol of atoms: -51.2
Symmetry: I4mm, No. 107

Lattice parameters (Å, degrees): 5.883 5.883 5.883 136.44 136.44 63.29
Fractional coordinates of all 5 atoms:
1 La 0.566 0.566 0.000
2 Fe 0.231 0.231 0.000
3 Ge 0.322 0.822 0.500
4 Ge 0.003 0.003 0.000
5 Ge 0.822 0.322 0.500

=====

Entry 3:
LiFe6Ge6 after structural relaxation, computed with PBE.

Computed properties:
E_form, kJ/mol of atoms: -18.3
Symmetry: P6/mmm, No. 191

Lattice parameters (Å, degrees): 8.701 8.701 7.993 90.00 90.00 120.00
Fractional coordinates of all 39 atoms:
1 Li 0.000 0.000 0.500
2 Li 0.667 0.333 0.000
3 Li 0.333 0.667 0.000
4 Fe 0.167 0.334 0.248
5 Fe 0.833 0.666 0.752
6 Fe 0.666 0.833 0.752
7 Fe 0.833 0.666 0.248
8 Fe 0.334 0.167 0.752
9 Fe 0.500 0.000 0.253
10 Fe 0.334 0.167 0.248
11 Fe 0.167 0.833 0.248
12 Fe 0.833 0.167 0.752
13 Fe 0.500 0.500 0.747
14 Fe 0.167 0.334 0.752
15 Fe 0.666 0.833 0.248
16 Fe 0.000 0.500 0.747
17 Fe 0.833 0.167 0.248
18 Fe 0.167 0.833 0.752
19 Fe 0.500 0.500 0.253
20 Fe 0.500 0.000 0.747
21 Fe 0.000 0.500 0.253
22 Ge 0.333 0.667 0.337
23 Ge 0.667 0.333 0.337
24 Ge 0.000 0.671 0.500
25 Ge 0.661 0.661 0.000
26 Ge 0.667 0.333 0.663
27 Ge 0.329 0.329 0.500
28 Ge 0.333 0.667 0.663
29 Ge 0.000 0.329 0.500
30 Ge 0.671 0.000 0.500
31 Ge 0.000 0.661 0.000
32 Ge 0.000 0.000 0.162
33 Ge 0.339 0.000 0.000
34 Ge 0.339 0.339 0.000
35 Ge 0.661 0.000 0.000
36 Ge 0.000 0.000 0.838
37 Ge 0.671 0.671 0.500
38 Ge 0.000 0.339 0.000
39 Ge 0.329 0.000 0.500

=====

Look up the E_form of the second one. -51.2 kJ/mol of atoms

=====

What is the E_form in the third record? -18.3 kJ/mol of atoms

=====

What did the second record say?
LaFeGe3 after structural relaxation, computed with PBE.

Computed properties:
E_form, kJ/mol of atoms: -51.2
Symmetry: I4mm, No. 107

Lattice parameters (Å, degrees): 5.883 5.883 5.883 136.44 136.44 63.29
Fractional coordinates of all 5 atoms:
1 La 0.566 0.566 0.000
2 Fe 0.231 0.231 0.000
3 Ge 0.322 0.822 0.500
4 Ge 0.003 0.003 0.000
5 Ge 0.822 0.322 0.500